Here is a relaxed H6PbCBr3N crystal from Materials Project. Energies are from PBE-GGA.

Calculated values
The calculation puts the energy above the most stable polymorph in this dataset at 2 meV/atom. The value obtained for the corrected total energy (MP2020 scheme) is -4.432 eV per atom. The uncorrected energy is -4.40 eV/atom. Its formation energy is -6.6 eV/f.u. The value obtained for the calculated volume is 18.7 Å³/atom.

a b c (Å): 6.0597 6.0385 6.1282
angles (deg): 89.93 90.00 90.00
Last column: nearest neighbours and their distance in Å.
Positions (direct):
N1 0.0000 0.8594 0.0325  3 H 1.04
Br1 0.5000 0.5700 0.9727  2 H 2.54
C1 0.0000 0.1027 0.9885  3 H 1.09-1.10
H1 0.8621 0.7817 0.9682  1 N 1.04
Br2 0.5000 0.0335 0.4407  2 Pb 2.98-3.08, 2 H 3.27
H2 0.1379 0.7817 0.9682  1 N 1.04
Br3 0.0000 0.5651 0.5127  1 H 2.47
H3 0.8519 0.1749 0.0616  1 C 1.09
H4 0.1481 0.1749 0.0616  1 C 1.09
H5 0.0000 0.8222 0.1986  1 N 1.04
H6 0.0000 0.1307 0.8117  1 C 1.10
Pb1 0.5000 0.5247 0.4780  6 Br 2.98-3.11

Here is a relaxed H6PbCBr3N crystal from Materials Project. Energies are from PBE-GGA.

Calculated values
The calculation puts the energy above the most stable polymorph in this dataset at 12 meV/atom. The value obtained for the corrected total energy (MP2020 scheme) is -4.422 eV per atom. The uncorrected energy is -4.39 eV/atom. Its formation energy is -6.5 eV/f.u. The value obtained for the calculated volume is 18.8 Å³/atom.

a b c (Å): 8.5870 8.5914 12.2077
angles (deg): 89.43 89.52 89.92
Last column: nearest neighbours and their distance in Å.
Positions (direct):
H1 0.1172 0.5097 0.2028  1 C 1.09
N1 0.9991 0.5005 0.8550  3 H 1.03-1.05
H2 0.1095 0.4782 0.8840  1 N 1.03
Br1 0.7747 0.2729 0.0037  1 H 2.25
H3 0.3794 0.0361 0.7073  1 C 1.09
H4 0.9245 0.4164 0.8898  1 N 1.05
C1 0.9952 0.4992 0.7330  3 H 1.09-1.10
Br2 0.5006 0.4996 0.2497  2 Pb 2.96-3.14
Br3 0.9993 0.9999 0.2498  2 Pb 2.96-3.14, 1 H 3.30
Br4 0.7312 0.7770 0.0026  1 H 2.41
C2 0.4955 0.0001 0.7338  3 H 1.09-1.10
H5 0.9407 0.3959 0.2051  1 C 1.09
Pb1 0.0017 0.0003 0.0069  6 Br 2.96-3.14
H6 0.4253 0.9162 0.3910  1 N 1.05
Br5 0.7730 0.7259 0.5037  3 H 2.67-2.97
Br6 0.2296 0.7281 0.0019  3 H 2.68-2.89
C3 0.9971 0.5022 0.2331  3 H 1.09-1.10
H7 0.6056 0.9670 0.8866  1 N 1.04
H8 0.8905 0.4898 0.3885  1 N 1.03
H9 0.5790 0.0854 0.2030  1 C 1.10
C4 0.4962 0.9976 0.2339  3 H 1.09-1.10
H10 0.9296 0.6041 0.2064  1 C 1.10
H11 0.4194 0.9175 0.8873  1 N 1.03
Br7 0.2712 0.7717 0.5024  1 H 2.25
H12 0.0251 0.3826 0.7048  1 C 1.09
H13 0.9649 0.6060 0.8858  1 N 1.03
N2 0.4991 0.0008 0.3560  3 H 1.03-1.05
H14 0.0690 0.4095 0.3865  1 N 1.05
Pb2 0.5020 0.5005 0.5070  6 Br 2.96-3.14
N3 0.4973 0.9981 0.8557  3 H 1.03-1.04
Br8 0.7263 0.2268 0.5040  4 H 2.76-3.00, 2 Pb 3.03-3.04
H15 0.5191 0.8818 0.7053  1 C 1.10
H16 0.6091 0.9817 0.3859  1 N 1.03
H17 0.4641 0.1045 0.8888  1 N 1.04
H18 0.3783 0.0247 0.2069  1 C 1.09
H19 0.5841 0.0819 0.7038  1 C 1.09
Br9 0.2264 0.2723 0.5019  1 H 2.28
Pb3 0.5006 0.5012 0.0070  6 Br 2.96-3.14
Br10 0.4990 0.5006 0.7497  2 Pb 2.96-3.14, 1 H 3.30
H20 0.0463 0.6019 0.3855  1 N 1.03
N4 0.0005 0.5005 0.3551  3 H 1.03-1.05
Pb4 0.9970 0.0009 0.5070  6 Br 2.96-3.14
H21 0.4623 0.1065 0.3856  1 N 1.03
H22 0.0799 0.5853 0.7023  1 C 1.10
Br11 0.0003 0.9999 0.7498  2 Pb 2.96-3.14, 1 H 3.31
Br12 0.2777 0.2307 0.0030  1 H 2.38
H23 0.8775 0.5298 0.7067  1 C 1.09
H24 0.5297 0.8812 0.2070  1 C 1.09